1.
4
Lattice="0.0000 3.2189 3.2189 3.2189 0.0000 3.2189 3.2189 3.2189 0.0000" Properties=species:S:1:pos:R:3 comment="Cd2PdRh r2SCAN relaxed" formation_enthalpy_0k_mev_per_atom=-292 sg="Fm-3m (225)" pbc="T T T"
Cd 1.6095 1.6095 1.6095
Cd 4.8284 4.8284 4.8284
Pd 0.0000 0.0000 0.0000
Rh 3.2189 3.2189 3.2189



2.
9
Lattice="7.5592 0.0000 0.0000 -3.7796 6.5464 0.0000 0.0000 0.0000 3.7543" Properties=species:S:1:pos:R:3 comment="HoSnRh r2SCAN relaxed" formation_enthalpy_0k_mev_per_atom=-971 sg="P-62m (189)" pbc="T T T"
Ho -1.5303 2.6505 0.0000
Ho 3.0605 0.0000 0.0000
Ho 2.2493 3.8959 0.0000
Sn -2.7815 4.8176 1.8772
Sn 0.9981 1.7288 1.8772
Sn 5.5629 0.0000 1.8772
Rh 0.0000 0.0000 0.0000
Rh 0.0000 4.3643 1.8772
Rh 3.7796 2.1821 1.8772